Compound: Li3As
Source: the Materials Project
Functional: PBE
Structure: relaxed

Lattice parameters (Å, degrees): 7.5581 7.5581 7.5646 90.00 90.00 120.00
Closest atoms and distances in Å follow each position.
Space group P-3c1 (No. 165)
Unique sites:
Li 0.0000 0.0000 0.0000 x2  6 Li 2.68
Li 0.0232 0.3549 0.4112 x12  3 Li 2.46-2.74, 2 As 2.57-2.68
Li 0.3333 0.6667 0.2132 x4  3 As 2.58, 6 Li 2.78-2.79
As 0.0000 0.3219 0.7500 x6  8 Li 2.57-2.81

Calculated values
energy of formation from the pure elements = -0.67 eV per atom
size of the total moment = 0.000 μB per atom
total energy = -13.1 eV per formula unit

***

Compound: Li27As10
Source: the Materials Project
Functional: PBE
Structure: relaxed

Lattice parameters (Å, degrees): 7.4412 21.6610 7.4471 90.00 108.83 90.00
Closest atoms and distances in Å follow each position.
Space group C2/m (No. 12)
Unique sites:
Li 0.0000 0.0000 0.0000 x2  8 Li 2.70-2.73, 2 As 2.86
Li 0.0000 0.1015 0.5000 x4  8 Li 2.68-2.72, 2 As 2.95
Li 0.0000 0.3008 0.5000 x4  8 Li 2.71-2.76, 2 As 2.89
Li 0.0000 0.4002 0.0000 x4  8 Li 2.69-2.76, 2 As 2.98
Li 0.1130 0.5000 0.8499 x4  4 As 2.59-2.74, 6 Li 2.69-2.86
Li 0.1162 0.1061 0.8837 x8  4 As 2.57-2.72, 5 Li 2.70-2.87
Li 0.1157 0.2012 0.3471 x8  4 As 2.56-2.72, 3 Li 2.71-2.72
Li 0.1206 0.4094 0.3832 x8  4 As 2.59-2.71, 6 Li 2.68-2.87
Li 0.1368 0.2935 0.8873 x8  4 As 2.69-2.72, 6 Li 2.72-3.00
Li 0.1483 0.0000 0.3840 x4  4 As 2.64-2.71, 6 Li 2.71-2.86
As 0.2352 0.0000 0.7630 x4  9 Li 2.64-2.86
As 0.2441 0.3038 0.2674 x8  8 Li 2.56-2.72
As 0.2450 0.3993 0.7526 x8  8 Li 2.57-2.72

Calculated values
energy of formation from the pure elements = -0.67 eV per atom
size of the total moment = 0.000 μB per atom
total energy = -122.9 eV per formula unit

***

Compound: Li3As
Source: the Materials Project
Functional: PBE
Structure: relaxed

Lattice parameters (Å, degrees): 4.3751 4.3751 7.8133 90.00 90.00 120.00
Closest atoms and distances in Å follow each position.
Space group P6_3/mmc (No. 194)
Unique sites:
Li 0.0000 0.0000 0.2500 x2  3 As 2.53
Li 0.3333 0.6667 0.0848 x4  7 Li 2.58-2.85, 4 As 2.62-2.84
As 0.3333 0.6667 0.7500 x2  5 Li 2.53-2.62

Calculated values
energy of formation from the pure elements = -0.71 eV per atom
total energy = -13.2 eV per formula unit

***

Compound: Li7MnAs4
Source: the Materials Project
Functional: PBE
Structure: relaxed

Lattice parameters (Å, degrees): 6.0341 8.4474 8.4704 89.97 89.70 89.88
Closest atoms and distances in Å follow each position.
Space group P1 (No. 1)
Unique sites:
Li 0.0000 0.0000 0.0000 x1  4 As 2.55-2.68, 1 Li 2.85
Li 0.0005 0.0034 0.4739 x1  4 As 2.57-2.67, 1 Li 2.83
Li 0.0003 0.2396 0.2364 x1  4 As 2.62-2.63, 4 Li 2.83-2.87
Li 0.0008 0.4766 0.4766 x1  4 As 2.56-2.69, 1 Li 2.86
Li 0.0005 0.4798 0.9974 x1  4 As 2.56-2.65, 1 Li 2.87
Li 0.0623 0.2360 0.7374 x1  4 As 2.63-2.83
Li 0.4282 0.7563 0.2335 x1  3 As 2.59-2.74
Li 0.4989 0.5063 0.4933 x1  4 As 2.55-2.70, 1 Li 2.85
Li 0.4993 0.7415 0.7345 x1  4 As 2.63-2.64, 4 Li 2.84-2.86
Li 0.4998 0.5034 0.9750 x1  4 As 2.57-2.65, 1 Li 2.86
Li 0.4996 0.9799 0.4982 x1  4 As 2.56-2.66, 1 Li 2.84
Li 0.5002 0.9830 0.9702 x1  4 As 2.55-2.69, 1 Li 2.86
Li 0.5641 0.2436 0.7276 x1  4 As 2.60-2.86
Li 0.9308 0.7389 0.2440 x1  4 As 2.60-2.87
Mn 0.0000 0.7417 0.7341 x1  4 As 2.34-2.38
Mn 0.4980 0.2406 0.2381 x1  4 As 2.31-2.37
As 0.2122 0.7409 0.5022 x1  1 Mn 2.34, 2 Li 2.57-2.58
As 0.2129 0.7406 0.9701 x1  1 Mn 2.38, 5 Li 2.55-2.65
As 0.2869 0.2419 0.0026 x1  1 Mn 2.37, 5 Li 2.55-2.65
As 0.2885 0.2418 0.4674 x1  1 Mn 2.31, 2 Li 2.56-2.58
As 0.7126 0.0084 0.2349 x1  1 Mn 2.35, 4 Li 2.58-2.63
As 0.7129 0.4733 0.2346 x1  1 Mn 2.36, 4 Li 2.55-2.63
As 0.7858 0.5067 0.7363 x1  1 Mn 2.37, 5 Li 2.56-2.65
As 0.7863 0.9767 0.7358 x1  1 Mn 2.37, 5 Li 2.57-2.64

Calculated values
energy of formation from the pure elements = -0.55 eV per atom
size of the total moment = 0.167 μB per atom
total energy = -47.8 eV per formula unit
energy relative to the lowest polymorph listed for this composition = 0.0000 eV per atom

***

Compound: Li7MnAs4
Source: the Materials Project
Functional: PBE
Structure: relaxed

Lattice parameters (Å, degrees): 6.1698 6.1698 6.0312 90.00 90.00 90.00
Closest atoms and distances in Å follow each position.
Space group P-42m (No. 111)
Unique sites:
Li 0.0000 0.0000 0.0000 x1  4 As 2.52
Li 0.0000 0.5000 0.0000 x2  4 As 2.75, 2 Li 3.02
Li 0.0000 0.5000 0.5000 x2  4 As 2.59
Li 0.5000 0.5000 0.2695 x2  2 As 2.46
Mn 0.0000 0.0000 0.5000 x1  4 As 2.34
As 0.2184 0.2184 0.2740 x4  1 Mn 2.34, 4 Li 2.46-2.59

Calculated values
energy of formation from the pure elements = -0.48 eV per atom
size of the total moment = 0.167 μB per atom
total energy = -46.9 eV per formula unit
energy relative to the lowest polymorph listed for this composition = 0.0691 eV per atom

***

Compound: LiMnAs
Source: the Materials Project
Functional: PBE
Structure: relaxed

Lattice parameters (Å, degrees): 3.9211 3.9211 6.1404 90.00 90.00 90.00
Closest atoms and distances in Å follow each position.
Space group P4/nmm (No. 129, origin choice 2)
Unique sites:
Li 0.2500 0.7500 0.0000 x2  4 As 2.57, 4 Li 2.77
Mn 0.2500 0.7500 0.5000 x2  4 As 2.41
As 0.2500 0.2500 0.2715 x2  4 Mn 2.41, 4 Li 2.57

Calculated values
energy of formation from the pure elements = -0.30 eV per atom
size of the total moment = 0.594 μB per atom
total energy = -16.6 eV per formula unit
energy relative to the lowest polymorph listed for this composition = 0.0000 eV per atom

***

Please write out number 5 again, unchanged.
Compound: Li7MnAs4
Source: the Materials Project
Functional: PBE
Structure: relaxed

Lattice parameters (Å, degrees): 6.1698 6.1698 6.0312 90.00 90.00 90.00
Closest atoms and distances in Å follow each position.
Space group P-42m (No. 111)
Unique sites:
Li 0.0000 0.0000 0.0000 x1  4 As 2.52
Li 0.0000 0.5000 0.0000 x2  4 As 2.75, 2 Li 3.02
Li 0.0000 0.5000 0.5000 x2  4 As 2.59
Li 0.5000 0.5000 0.2695 x2  2 As 2.46
Mn 0.0000 0.0000 0.5000 x1  4 As 2.34
As 0.2184 0.2184 0.2740 x4  1 Mn 2.34, 4 Li 2.46-2.59

Calculated values
energy of formation from the pure elements = -0.48 eV per atom
size of the total moment = 0.167 μB per atom
total energy = -46.9 eV per formula unit
energy relative to the lowest polymorph listed for this composition = 0.0691 eV per atom